[1]
BaFeSi4O10 | GGA+U | optimized geometry

Cell lengths 7.5443, 7.6457, 8.2150 Å; angles 90.00, 90.00, 90.00 degrees
Last column: nearest neighbours and their distance in Å.
Sites, in units of the cell vectors:
Si  0.2595  0.1843  0.7015  4 O 1.61-1.65
O  0.7336  0.5296  0.2801  2 Si 1.65
O  0.8529  0.7253  0.8449  1 Si 1.61
O  0.0284  0.7271  0.2742  2 Si 1.64-1.65
Si  0.3169  0.7768  0.6746  4 O 1.60-1.65
O  0.1964  0.2489  0.5216  2 Si 1.63
O  0.7664  0.0296  0.7199  2 Si 1.65
O  0.2736  0.1286  0.2164  1 Si 1.60
O  0.3036  0.7489  0.4784  2 Si 1.63
Si  0.8169  0.7232  0.3254  4 O 1.60-1.65
O  0.3529  0.7747  0.1551  1 Si 1.61
Si  0.7405  0.8157  0.7015  4 O 1.61-1.65
O  0.8036  0.7511  0.5216  2 Si 1.63
O  0.4716  0.2271  0.7258  2 Si 1.64-1.65
Ba  0.5000  0.5000  0.9808  8 O 2.77-3.03
O  0.6964  0.2511  0.4784  2 Si 1.63
Si  0.6831  0.2232  0.6746  4 O 1.60-1.65
Si  0.2405  0.6843  0.2985  4 O 1.61-1.65
O  0.7264  0.8714  0.2164  1 Si 1.60
Fe  0.0000  0.5000  0.8073  4 O 1.98-2.07
Fe  0.5000  0.0000  0.1927  4 O 1.98-2.07
Si  0.1831  0.2768  0.3254  4 O 1.60-1.65
O  0.7736  0.3714  0.7836  1 Si 1.60
O  0.5284  0.7729  0.7258  2 Si 1.64-1.65
O  0.2336  0.9704  0.7199  2 Si 1.65
O  0.2664  0.4704  0.2801  2 Si 1.65
Si  0.7595  0.3157  0.2985  4 O 1.61-1.65
O  0.9716  0.2729  0.2742  2 Si 1.64-1.65
O  0.1471  0.2747  0.8449  1 Si 1.61
O  0.2264  0.6286  0.7836  1 Si 1.60
O  0.6471  0.2253  0.1551  1 Si 1.61
Ba  0.0000  0.0000  0.0192  8 O 2.77-3.03

## Properties
crystal system = orthorhombic
largest piezoelectric modulus = 0.085 C/m2
space-group type = No. 18
energy above the most stable polymorph in this dataset = 0.04 eV/f.u.
calculated volume = 473.9 Å³/cell
energy relative to the elements = -3.101 eV/atom

[2]
BaFe2Si2O7 | GGA+U | optimized geometry

Cell lengths 14.0161, 7.2099, 7.6072 Å; angles 61.74, 90.00, 90.00 degrees
Last column: nearest neighbours and their distance in Å.
Sites, in units of the cell vectors:
Si  0.1093  0.2983  0.2767  4 O 1.64-1.68
O  0.3785  0.5983  0.5088  2 Si 1.68-1.69
O  0.2903  0.7513  0.7270  1 Si 1.65
O  0.0164  0.2260  0.7254  1 Si 1.63
O  0.3118  0.9747  0.2574  1 Si 1.64
Ba  0.3567  0.2060  0.4894  4 O 2.68-2.92
O  0.7903  0.7487  0.2730  1 Si 1.65
O  0.8118  0.5253  0.7426  1 Si 1.64
O  0.7097  0.2487  0.2730  1 Si 1.65
O  0.6236  0.6279  0.0917  1 Si 1.64
Si  0.3834  0.6135  0.7235  4 O 1.63-1.69
O  0.3764  0.3721  0.9083  1 Si 1.64
Si  0.6093  0.2017  0.7233  4 O 1.64-1.68
O  0.6284  0.3011  0.8757  1 Si 1.65
O  0.4836  0.7260  0.7254  1 Si 1.63
Ba  0.1433  0.7060  0.4894  4 O 2.68-2.92
Si  0.8834  0.8865  0.2765  4 O 1.63-1.69
O  0.8716  0.8011  0.8757  1 Si 1.65
Fe  0.0017  0.7117  0.0378  4 O 2.04-2.12
Si  0.8907  0.7017  0.7233  4 O 1.64-1.68
Fe  0.2440  0.6937  0.9979  4 O 2.01-2.04
O  0.8785  0.9017  0.4912  2 Si 1.68-1.69
Fe  0.4983  0.2117  0.0378  4 O 2.04-2.12
O  0.6215  0.4017  0.4912  2 Si 1.68-1.69
Si  0.1166  0.1135  0.7235  4 O 1.63-1.69
O  0.9836  0.7740  0.2746  1 Si 1.63
O  0.4999  0.8922  0.2274  1 Si 1.64
Fe  0.7440  0.8063  0.0021  4 O 2.01-2.04
O  0.9999  0.6078  0.7726  1 Si 1.64
Ba  0.8567  0.2940  0.5106  4 O 2.68-2.92
O  0.5001  0.1078  0.7726  1 Si 1.64
O  0.5164  0.2740  0.2746  1 Si 1.63
Fe  0.5017  0.7883  0.9622  4 O 2.04-2.12
O  0.1215  0.0983  0.5088  2 Si 1.68-1.69
O  0.1236  0.8721  0.9083  1 Si 1.64
O  0.0001  0.3922  0.2274  1 Si 1.64
O  0.8764  0.1279  0.0917  1 Si 1.64
Fe  0.7560  0.3063  0.0021  4 O 2.01-2.04
O  0.1882  0.4747  0.2574  1 Si 1.64
Fe  0.2560  0.1937  0.9979  4 O 2.01-2.04
Si  0.3907  0.7983  0.2767  4 O 1.64-1.68
Si  0.6166  0.3865  0.2765  4 O 1.63-1.69
O  0.3716  0.6989  0.1243  1 Si 1.65
Ba  0.6433  0.7940  0.5106  4 O 2.68-2.92
O  0.2097  0.2513  0.7270  1 Si 1.65
Fe  0.9983  0.2883  0.9622  4 O 2.04-2.12
O  0.1284  0.1989  0.1243  1 Si 1.65
O  0.6882  0.0253  0.7426  1 Si 1.64

## Properties
crystal system = monoclinic
space-group type = No. 14
calculated volume = 677.1 Å³/cell
energy relative to the elements = -2.761 eV/atom

[3]
BaFeSi4O10 | GGA+U | optimized geometry

Cell lengths 7.6301, 7.6301, 16.4367 Å; angles 90.00, 90.00, 90.00 degrees
Last column: nearest neighbours and their distance in Å.
Sites, in units of the cell vectors:
Si  0.3176  0.7669  0.8449  4 O 1.60-1.65
O  0.2538  0.0304  0.3623  2 Si 1.65
Si  0.7669  0.6824  0.1551  4 O 1.60-1.65
Fe  0.0000  0.5000  0.9057  4 O 2.02
Si  0.8176  0.2669  0.1551  4 O 1.60-1.65
Ba  0.0000  0.0000  0.5000  8 O 2.76-2.99
Ba  0.0000  0.0000  0.0000  8 O 2.76-2.99
O  0.5304  0.7538  0.8623  2 Si 1.65
O  0.3643  0.7720  0.5913  1 Si 1.60
O  0.2720  0.1357  0.5913  1 Si 1.60
O  0.6357  0.7720  0.0913  1 Si 1.60
O  0.5304  0.2462  0.3623  2 Si 1.65
O  0.2280  0.6357  0.9087  1 Si 1.60
O  0.7797  0.2203  0.2500  2 Si 1.63
Fe  0.5000  0.0000  0.0943  4 O 2.02
Si  0.7331  0.8176  0.8449  4 O 1.60-1.65
O  0.9696  0.7462  0.1377  2 Si 1.65
O  0.2280  0.3643  0.4087  1 Si 1.60
O  0.3643  0.2280  0.0913  1 Si 1.60
Si  0.2669  0.8176  0.3449  4 O 1.60-1.65
O  0.7797  0.7797  0.7500  2 Si 1.63
Si  0.2331  0.6824  0.6551  4 O 1.60-1.65
Si  0.3176  0.2331  0.3449  4 O 1.60-1.65
Fe  0.5000  0.0000  0.5943  4 O 2.02
O  0.7462  0.9696  0.3623  2 Si 1.65
O  0.7462  0.0304  0.8623  2 Si 1.65
Si  0.2669  0.1824  0.8449  4 O 1.60-1.65
Ba  0.5000  0.5000  0.0000  8 O 2.76-2.99
O  0.2538  0.9696  0.8623  2 Si 1.65
Si  0.6824  0.7669  0.3449  4 O 1.60-1.65
O  0.0304  0.2538  0.1377  2 Si 1.65
Si  0.7331  0.1824  0.3449  4 O 1.60-1.65
O  0.7538  0.5304  0.6377  2 Si 1.65
O  0.7280  0.8643  0.5913  1 Si 1.60
O  0.2203  0.2203  0.7500  2 Si 1.63
Si  0.2331  0.3176  0.1551  4 O 1.60-1.65
O  0.7720  0.6357  0.4087  1 Si 1.60
O  0.0304  0.7462  0.6377  2 Si 1.65
O  0.7538  0.4696  0.1377  2 Si 1.65
O  0.1357  0.2720  0.9087  1 Si 1.60
Si  0.7669  0.3176  0.6551  4 O 1.60-1.65
O  0.2720  0.8643  0.0913  1 Si 1.60
O  0.7203  0.2797  0.7500  2 Si 1.63
Fe  0.0000  0.5000  0.4057  4 O 2.02
O  0.8643  0.7280  0.9087  1 Si 1.60
O  0.7203  0.7203  0.2500  2 Si 1.63
O  0.6357  0.2280  0.5913  1 Si 1.60
Si  0.8176  0.7331  0.6551  4 O 1.60-1.65
O  0.4696  0.7538  0.3623  2 Si 1.65
Si  0.1824  0.7331  0.1551  4 O 1.60-1.65
O  0.8643  0.2720  0.4087  1 Si 1.60
O  0.9696  0.2538  0.6377  2 Si 1.65
O  0.7280  0.1357  0.0913  1 Si 1.60
O  0.1357  0.7280  0.4087  1 Si 1.60
O  0.2797  0.7203  0.7500  2 Si 1.63
Ba  0.5000  0.5000  0.5000  8 O 2.76-2.99
Si  0.6824  0.2331  0.8449  4 O 1.60-1.65
O  0.2203  0.7797  0.2500  2 Si 1.63
O  0.7720  0.3643  0.9087  1 Si 1.60
O  0.2797  0.2797  0.2500  2 Si 1.63
O  0.2462  0.4696  0.6377  2 Si 1.65
O  0.4696  0.2462  0.8623  2 Si 1.65
Si  0.1824  0.2669  0.6551  4 O 1.60-1.65
O  0.2462  0.5304  0.1377  2 Si 1.65

## Properties
crystal system = tetragonal
space-group type = No. 130
energy above the most stable polymorph in this dataset = 0.00 eV/f.u.
calculated volume = 956.9 Å³/cell
energy relative to the elements = -3.103 eV/atom

[4]
BaTiFe2Si2O10 | GGA+U | optimized geometry

Cell lengths 6.9539, 5.3642, 11.3939 Å; angles 85.50, 90.00, 90.00 degrees
Last column: nearest neighbours and their distance in Å.
Sites, in units of the cell vectors:
O  0.0289  0.6998  0.8936  1 Si 1.67
O  0.9711  0.3002  0.1064  1 Si 1.67
O  0.2500  0.2739  0.2590  2 Si 1.61
Ti  0.7500  0.7796  0.3399  1 O 1.72
O  0.4711  0.6998  0.8936  1 Si 1.67
Ba  0.2500  0.7754  0.4351  6 O 2.79-2.87
O  0.0580  0.9541  0.6750  1 Si 1.62
O  0.9519  0.5453  0.3066  1 Si 1.61
O  0.2500  0.8050  0.0778  1 Fe 1.90
Fe  0.2500  0.5302  0.9817  4 O 1.90-2.01
Ba  0.7500  0.2246  0.5649  6 O 2.79-2.87
Fe  0.7500  0.4698  0.0183  4 O 1.90-2.01
Ti  0.2500  0.2204  0.6601  1 O 1.72
O  0.9420  0.0459  0.3250  1 Si 1.62
O  0.2500  0.1971  0.9343  1 Fe 1.91
O  0.5289  0.3002  0.1064  1 Si 1.67
O  0.7500  0.7336  0.4913  1 Ti 1.72
O  0.5580  0.0459  0.3250  1 Si 1.62
Si  0.4803  0.2941  0.2500  4 O 1.61-1.67
Si  0.0197  0.2941  0.2500  4 O 1.61-1.67
O  0.0481  0.4547  0.6934  1 Si 1.61
Fe  0.5000  0.0000  0.0000  6 O 2.10-2.18
Si  0.9803  0.7059  0.7500  4 O 1.61-1.67
O  0.4519  0.4547  0.6934  1 Si 1.61
O  0.7500  0.7261  0.7410  2 Si 1.61
Fe  0.0000  0.0000  0.0000  6 O 2.10-2.18
O  0.7500  0.8029  0.0657  1 Fe 1.91
O  0.5481  0.5453  0.3066  1 Si 1.61
O  0.7500  0.1950  0.9222  1 Fe 1.90
O  0.2500  0.2664  0.5087  1 Ti 1.72
Si  0.5197  0.7059  0.7500  4 O 1.61-1.67
O  0.4420  0.9541  0.6750  1 Si 1.62

## Properties
crystal system = monoclinic
space-group type = No. 11
calculated volume = 423.7 Å³/cell
energy relative to the elements = -2.771 eV/atom

Please write out number 1 again, unchanged.
BaFeSi4O10 | GGA+U | optimized geometry

Cell lengths 7.5443, 7.6457, 8.2150 Å; angles 90.00, 90.00, 90.00 degrees
Last column: nearest neighbours and their distance in Å.
Sites, in units of the cell vectors:
Si  0.2595  0.1843  0.7015  4 O 1.61-1.65
O  0.7336  0.5296  0.2801  2 Si 1.65
O  0.8529  0.7253  0.8449  1 Si 1.61
O  0.0284  0.7271  0.2742  2 Si 1.64-1.65
Si  0.3169  0.7768  0.6746  4 O 1.60-1.65
O  0.1964  0.2489  0.5216  2 Si 1.63
O  0.7664  0.0296  0.7199  2 Si 1.65
O  0.2736  0.1286  0.2164  1 Si 1.60
O  0.3036  0.7489  0.4784  2 Si 1.63
Si  0.8169  0.7232  0.3254  4 O 1.60-1.65
O  0.3529  0.7747  0.1551  1 Si 1.61
Si  0.7405  0.8157  0.7015  4 O 1.61-1.65
O  0.8036  0.7511  0.5216  2 Si 1.63
O  0.4716  0.2271  0.7258  2 Si 1.64-1.65
Ba  0.5000  0.5000  0.9808  8 O 2.77-3.03
O  0.6964  0.2511  0.4784  2 Si 1.63
Si  0.6831  0.2232  0.6746  4 O 1.60-1.65
Si  0.2405  0.6843  0.2985  4 O 1.61-1.65
O  0.7264  0.8714  0.2164  1 Si 1.60
Fe  0.0000  0.5000  0.8073  4 O 1.98-2.07
Fe  0.5000  0.0000  0.1927  4 O 1.98-2.07
Si  0.1831  0.2768  0.3254  4 O 1.60-1.65
O  0.7736  0.3714  0.7836  1 Si 1.60
O  0.5284  0.7729  0.7258  2 Si 1.64-1.65
O  0.2336  0.9704  0.7199  2 Si 1.65
O  0.2664  0.4704  0.2801  2 Si 1.65
Si  0.7595  0.3157  0.2985  4 O 1.61-1.65
O  0.9716  0.2729  0.2742  2 Si 1.64-1.65
O  0.1471  0.2747  0.8449  1 Si 1.61
O  0.2264  0.6286  0.7836  1 Si 1.60
O  0.6471  0.2253  0.1551  1 Si 1.61
Ba  0.0000  0.0000  0.0192  8 O 2.77-3.03

## Properties
crystal system = orthorhombic
largest piezoelectric modulus = 0.085 C/m2
space-group type = No. 18
energy above the most stable polymorph in this dataset = 0.04 eV/f.u.
calculated volume = 473.9 Å³/cell
energy relative to the elements = -3.101 eV/atom

What is the calculated volume in the first record?
473.9 Å³/cell

What did the first record say?
BaFeSi4O10 | GGA+U | optimized geometry

Cell lengths 7.5443, 7.6457, 8.2150 Å; angles 90.00, 90.00, 90.00 degrees
Last column: nearest neighbours and their distance in Å.
Sites, in units of the cell vectors:
Si  0.2595  0.1843  0.7015  4 O 1.61-1.65
O  0.7336  0.5296  0.2801  2 Si 1.65
O  0.8529  0.7253  0.8449  1 Si 1.61
O  0.0284  0.7271  0.2742  2 Si 1.64-1.65
Si  0.3169  0.7768  0.6746  4 O 1.60-1.65
O  0.1964  0.2489  0.5216  2 Si 1.63
O  0.7664  0.0296  0.7199  2 Si 1.65
O  0.2736  0.1286  0.2164  1 Si 1.60
O  0.3036  0.7489  0.4784  2 Si 1.63
Si  0.8169  0.7232  0.3254  4 O 1.60-1.65
O  0.3529  0.7747  0.1551  1 Si 1.61
Si  0.7405  0.8157  0.7015  4 O 1.61-1.65
O  0.8036  0.7511  0.5216  2 Si 1.63
O  0.4716  0.2271  0.7258  2 Si 1.64-1.65
Ba  0.5000  0.5000  0.9808  8 O 2.77-3.03
O  0.6964  0.2511  0.4784  2 Si 1.63
Si  0.6831  0.2232  0.6746  4 O 1.60-1.65
Si  0.2405  0.6843  0.2985  4 O 1.61-1.65
O  0.7264  0.8714  0.2164  1 Si 1.60
Fe  0.0000  0.5000  0.8073  4 O 1.98-2.07
Fe  0.5000  0.0000  0.1927  4 O 1.98-2.07
Si  0.1831  0.2768  0.3254  4 O 1.60-1.65
O  0.7736  0.3714  0.7836  1 Si 1.60
O  0.5284  0.7729  0.7258  2 Si 1.64-1.65
O  0.2336  0.9704  0.7199  2 Si 1.65
O  0.2664  0.4704  0.2801  2 Si 1.65
Si  0.7595  0.3157  0.2985  4 O 1.61-1.65
O  0.9716  0.2729  0.2742  2 Si 1.64-1.65
O  0.1471  0.2747  0.8449  1 Si 1.61
O  0.2264  0.6286  0.7836  1 Si 1.60
O  0.6471  0.2253  0.1551  1 Si 1.61
Ba  0.0000  0.0000  0.0192  8 O 2.77-3.03

## Properties
crystal system = orthorhombic
largest piezoelectric modulus = 0.085 C/m2
space-group type = No. 18
energy above the most stable polymorph in this dataset = 0.04 eV/f.u.
calculated volume = 473.9 Å³/cell
energy relative to the elements = -3.101 eV/atom

Which value of calculated volume does entry 4 give?
423.7 Å³/cell